PBE+U Na5Mn3F14, optimized geometry; uncorrected energy = -5.160 eV per atom; calculated density = 3.089 g/cm³
1.0
12.629 0.000 0.000
0.000 7.550 0.000
0.000 0.000 12.308
Na Mn F
20 12 56
Cartesian
0.257 0.208 0.458 Na
0.978 6.020 3.149 Na
1.003 2.444 3.207 Na
2.894 5.529 0.000 Na
2.998 5.444 6.185 Na
3.317 1.669 0.031 Na
3.420 1.754 6.154 Na
5.311 6.219 9.361 Na
5.336 2.245 9.303 Na
6.058 3.982 6.612 Na
6.571 3.567 0.458 Na
7.293 5.304 3.149 Na
7.318 1.330 3.207 Na
9.209 5.795 0.000 Na
9.312 5.880 6.185 Na
9.631 2.106 0.031 Na
9.735 2.021 6.154 Na
11.626 5.105 9.361 Na
11.651 1.529 9.303 Na
12.372 7.342 6.612 Na
0.026 3.800 6.183 Mn
2.077 0.002 9.209 Mn
2.375 3.775 9.222 Mn
3.939 7.550 3.068 Mn
4.238 3.777 3.055 Mn
6.289 0.026 0.029 Mn
6.340 7.524 6.183 Mn
8.391 3.773 9.209 Mn
8.690 0.000 9.222 Mn
10.254 3.775 3.068 Mn
10.553 7.548 3.055 Mn
12.604 3.749 0.029 Mn
0.226 7.087 9.054 F
0.685 5.289 0.871 F
0.741 5.389 5.419 F
0.966 4.379 10.621 F
1.175 4.378 7.906 F
1.321 2.630 0.768 F
1.453 2.038 9.196 F
1.475 2.783 5.541 F
1.933 0.013 11.108 F
2.121 7.531 7.308 F
2.450 4.339 3.131 F
2.521 7.241 1.623 F
2.773 7.062 4.426 F
3.046 5.628 9.338 F
3.269 1.853 3.183 F
3.542 3.288 10.580 F
3.794 3.466 7.777 F
3.864 0.564 9.285 F
4.193 3.756 1.154 F
4.382 3.787 4.953 F
4.840 6.557 11.695 F
4.862 5.813 3.042 F
4.994 6.404 6.922 F
5.140 0.603 1.752 F
5.349 0.604 4.466 F
5.573 1.614 11.573 F
5.629 1.514 7.025 F
6.089 3.312 2.900 F
6.541 4.237 9.054 F
7.000 6.035 0.871 F
7.056 5.936 5.419 F
7.280 6.946 10.621 F
7.489 6.946 7.906 F
7.635 1.145 0.768 F
7.767 1.737 9.196 F
7.789 0.992 5.541 F
8.247 3.762 11.108 F
8.436 3.793 7.308 F
8.765 6.986 3.131 F
8.835 4.084 1.623 F
9.087 4.262 4.426 F
9.361 5.696 9.338 F
9.583 1.922 3.183 F
9.856 0.487 10.580 F
10.109 0.309 7.777 F
10.179 3.211 9.285 F
10.508 0.019 1.154 F
10.696 7.537 4.953 F
11.155 4.767 11.695 F
11.177 5.512 3.042 F
11.308 4.920 6.922 F
11.455 3.172 1.752 F
11.663 3.171 4.466 F
11.888 2.161 11.573 F
11.944 2.260 7.025 F
12.403 0.462 2.900 F

PBE+U Li9Mn2Co5O16, optimized geometry; uncorrected energy = -5.838 eV per atom; calculated density = 4.178 g/cm³
1.0
5.078 -5.836 0.000
5.078 5.836 0.000
-3.320 0.000 4.849
Li Mn Co O
9 2 5 16
Cartesian
0.000 0.000 0.000 Li
-1.660 0.000 2.424 Li
-0.816 1.425 4.826 Li
5.078 2.901 0.000 Li
-0.816 -1.425 4.826 Li
5.078 0.000 0.000 Li
7.651 1.425 0.023 Li
5.078 -2.901 0.000 Li
7.651 -1.425 0.023 Li
3.418 2.926 2.424 Mn
3.418 -2.926 2.424 Mn
0.824 1.420 2.403 Co
0.824 -1.420 2.403 Co
3.418 0.000 2.424 Co
6.011 1.420 2.446 Co
6.011 -1.420 2.446 Co
1.781 2.886 1.356 O
2.593 4.250 3.539 O
4.243 4.250 1.310 O
1.702 0.000 1.254 O
0.187 0.000 3.540 O
2.624 1.488 3.507 O
4.212 1.488 1.342 O
5.055 2.886 3.493 O
1.781 -2.886 1.356 O
2.624 -1.488 3.507 O
4.212 -1.488 1.342 O
6.649 0.000 1.309 O
5.134 0.000 3.595 O
2.593 -4.250 3.539 O
4.243 -4.250 1.310 O
5.055 -2.886 3.493 O

PBE+U Li9Mn2Co5O16, optimized geometry; uncorrected energy = -5.812 eV per atom; calculated density = 4.201 g/cm³
1.0
2.932 0.000 0.000
0.296 9.837 0.000
1.376 3.051 9.910
Li Mn Co O
9 2 5 16
Cartesian
0.000 0.000 0.000 Li
1.428 5.610 8.729 Li
1.662 11.049 6.170 Li
1.584 6.627 3.708 Li
1.473 2.045 1.148 Li
3.045 10.610 8.718 Li
2.987 6.166 6.164 Li
2.891 1.664 3.699 Li
3.108 7.093 1.267 Li
2.878 3.446 7.487 Mn
2.993 4.353 2.515 Mn
1.554 8.372 7.408 Co
1.433 3.884 4.976 Co
1.675 9.305 2.368 Co
2.965 7.920 9.901 Co
3.081 8.797 4.910 Co
1.567 9.181 9.294 O
1.692 12.079 7.959 O
1.429 4.604 6.779 O
1.557 7.542 5.552 O
1.668 10.037 4.218 O
1.369 3.113 3.196 O
1.691 5.634 1.871 O
1.678 8.480 0.825 O
2.877 4.276 9.120 O
2.928 7.138 8.055 O
3.117 9.628 6.745 O
2.895 2.734 5.586 O
2.905 5.061 4.392 O
2.993 8.047 3.118 O
2.988 0.708 1.913 O
2.992 3.596 0.652 O

PBE+U Mn2Se3O12, optimized geometry; uncorrected energy = -5.525 eV per atom; calculated density = 3.386 g/cm³
1.0
7.666 0.000 0.000
0.000 10.097 0.000
-0.370 0.000 13.655
Mn Se O
8 12 48
Cartesian
0.000 0.000 0.000 Mn
-0.185 0.000 6.828 Mn
0.000 5.049 0.000 Mn
-0.185 5.049 6.828 Mn
3.472 2.380 3.097 Mn
3.287 2.669 9.925 Mn
4.008 7.428 3.730 Mn
3.823 7.717 10.558 Mn
1.203 2.529 5.306 Se
1.018 2.520 12.134 Se
2.564 5.099 1.954 Se
2.379 10.046 8.782 Se
2.486 5.456 8.651 Se
2.671 9.690 1.824 Se
4.624 0.407 11.832 Se
4.810 4.641 5.004 Se
4.916 0.051 4.874 Se
4.731 4.998 11.701 Se
6.278 7.577 1.522 Se
6.093 7.568 8.349 Se
0.245 6.357 5.546 O
0.060 8.789 12.373 O
0.953 5.712 1.508 O
0.767 9.434 8.336 O
0.710 6.392 12.765 O
0.895 8.753 5.938 O
0.922 5.991 8.120 O
1.107 9.154 1.292 O
1.190 1.280 6.552 O
1.004 3.769 13.379 O
1.167 1.082 13.108 O
1.352 3.966 6.280 O
1.863 1.389 9.579 O
2.048 3.660 2.752 O
2.163 1.127 2.495 O
1.978 3.921 9.322 O
2.515 6.365 10.139 O
2.701 8.781 3.312 O
2.721 6.040 3.402 O
2.535 9.106 10.230 O
2.893 2.336 4.979 O
2.708 2.712 11.807 O
3.426 7.499 5.492 O
3.241 7.647 12.320 O
4.055 2.450 1.336 O
3.869 2.598 8.163 O
4.588 7.385 1.848 O
4.403 7.761 8.676 O
4.760 0.991 3.426 O
4.575 4.057 10.253 O
4.595 1.316 10.344 O
4.780 3.732 3.516 O
5.317 6.176 4.333 O
5.132 8.970 11.161 O
5.247 6.437 10.904 O
5.432 8.708 4.076 O
5.944 6.131 7.375 O
6.129 9.015 0.548 O
6.291 6.329 0.276 O
6.106 8.817 7.104 O
6.189 0.943 12.363 O
6.374 4.106 5.536 O
6.400 1.344 7.718 O
6.585 3.705 0.890 O
6.528 0.663 5.320 O
6.343 4.385 12.147 O
7.235 1.308 1.282 O
7.050 3.740 8.110 O